(1)
{
  "formula": "NaLaO2",
  "functional": "PBE-GGA",
  "state": "optimized geometry",
  "cell": [[-4.745, 3.490, -1.161], [-4.971, 0.520, -3.326], [-5.992, 0.306, 0.204]],
  "species": ["O", "Na", "O", "La"],
  "frac_coords": [[0.239, 0.239, 0.239], [0.000, 0.000, 0.000], [0.761, 0.761, 0.761], [0.500, 0.500, 0.500]],
  "spacegroup": "R-3m (166)",
  "crystal_system": "trigonal"
}

(2)
{
  "formula": "NaLaO2",
  "functional": "PBE-GGA",
  "state": "optimized geometry",
  "cell": [[4.953, 4.396, -0.480], [-1.201, 6.282, 1.783], [-0.923, -6.063, 2.544]],
  "species": ["O", "Na", "La", "Na", "La", "O", "O", "O"],
  "frac_coords": [[0.783, 0.783, 0.000], [0.500, 0.500, 0.000], [0.750, 0.250, 0.500], [0.250, 0.750, 0.500], [0.000, 0.000, 0.000], [0.217, 0.217, 0.000], [0.967, 0.467, 0.500], [0.533, 0.033, 0.500]],
  "spacegroup": "I4_1/amd (141)",
  "crystal_system": "tetragonal"
}

(3)
{
  "formula": "NaLaO2",
  "functional": "PBE-GGA",
  "state": "optimized geometry",
  "cell": [[-7.520, 0.747, -2.157], [3.696, -6.558, 2.255], [-3.281, -1.890, 5.213]],
  "species": ["O", "Na", "La", "La", "Na", "La", "La", "O", "O", "Na", "O", "O", "O", "Na", "O", "O"],
  "frac_coords": [[0.070, 0.443, 0.703], [0.195, 0.805, 0.750], [0.943, 0.057, 0.750], [0.682, 0.318, 0.750], [0.431, 0.569, 0.750], [0.057, 0.943, 0.250], [0.318, 0.682, 0.250], [0.930, 0.557, 0.297], [0.835, 0.711, 0.703], [0.569, 0.431, 0.250], [0.443, 0.070, 0.203], [0.165, 0.289, 0.297], [0.711, 0.835, 0.203], [0.805, 0.195, 0.250], [0.557, 0.930, 0.797], [0.289, 0.165, 0.797]],
  "spacegroup": "C2/c (15)",
  "crystal_system": "monoclinic"
}

no.,formation energy (eV per formula unit)
1,-11.986
2,-12.162
3,-12.065